1.
## Rb2AgMoCl6 (PBE)

Data for crystalline Rb2AgMoCl6 at its relaxed geometry.

Cell lengths 7.363, 7.363, 7.363 Å; angles 60.00, 60.00, 60.00 degrees
Atoms (fractional coordinates):
Rb1 0.250 0.250 0.250
Rb2 0.750 0.750 0.750
Ag1 0.000 0.000 0.000
Mo1 0.500 0.500 0.500
Cl1 0.263 0.263 0.737
Cl2 0.263 0.737 0.263
Cl3 0.263 0.737 0.737
Cl4 0.737 0.263 0.263
Cl5 0.737 0.263 0.737
Cl6 0.737 0.737 0.263

---

2.
## La2Ti3O9 (PBE)

Data for crystalline La2Ti3O9 at its relaxed geometry.

Cell lengths 7.497, 7.963, 14.701 Å; angles 90.00, 90.00, 90.00 degrees
Atoms (fractional coordinates):
La1 0.147 0.250 0.180
La2 0.164 0.750 0.416
La3 0.336 0.250 0.916
La4 0.353 0.750 0.680
La5 0.647 0.250 0.320
La6 0.664 0.750 0.084
La7 0.836 0.250 0.584
La8 0.853 0.750 0.820
Ti1 0.000 0.000 0.000
Ti2 0.000 0.500 0.000
Ti3 0.173 0.750 0.149
Ti4 0.185 0.250 0.425
Ti5 0.315 0.750 0.925
Ti6 0.327 0.250 0.649
Ti7 0.500 0.000 0.500
Ti8 0.500 0.500 0.500
Ti9 0.673 0.750 0.351
Ti10 0.685 0.250 0.075
Ti11 0.815 0.750 0.575
Ti12 0.827 0.250 0.851
O1 0.035 0.250 0.007
O2 0.048 0.750 0.601
O3 0.086 0.529 0.126
O4 0.086 0.971 0.126
O5 0.139 0.250 0.570
O6 0.191 0.750 0.813
O7 0.241 0.522 0.952
O8 0.241 0.978 0.952
O9 0.243 0.750 0.263
O10 0.257 0.250 0.763
O11 0.259 0.022 0.452
O12 0.259 0.478 0.452
O13 0.309 0.250 0.313
O14 0.361 0.750 0.070
O15 0.414 0.029 0.626
O16 0.414 0.471 0.626
O17 0.452 0.250 0.101
O18 0.465 0.750 0.507
O19 0.535 0.250 0.493
O20 0.548 0.750 0.899
O21 0.586 0.529 0.374
O22 0.586 0.971 0.374
O23 0.639 0.250 0.930
O24 0.691 0.750 0.687
O25 0.741 0.522 0.548
O26 0.741 0.978 0.548
O27 0.743 0.750 0.237
O28 0.757 0.250 0.737
O29 0.759 0.022 0.048
O30 0.759 0.478 0.048
O31 0.809 0.250 0.187
O32 0.861 0.750 0.430
O33 0.914 0.029 0.874
O34 0.914 0.471 0.874
O35 0.952 0.250 0.399
O36 0.965 0.750 0.993

energy above the most stable polymorph in this dataset = 4.64 kJ per mole of atoms

---

3.
## CsTl3O5 (PBE)

Data for crystalline CsTl3O5 at its relaxed geometry.

Cell lengths 10.420, 3.557, 17.578 Å; angles 90.00, 90.00, 90.00 degrees
Atoms (fractional coordinates):
Cs1 0.003 0.250 0.119
Cs2 0.497 0.750 0.619
Cs3 0.503 0.250 0.381
Cs4 0.997 0.750 0.881
Tl1 0.141 0.750 0.345
Tl2 0.146 0.250 0.518
Tl3 0.149 0.750 0.689
Tl4 0.351 0.250 0.189
Tl5 0.354 0.750 0.018
Tl6 0.359 0.250 0.845
Tl7 0.641 0.750 0.155
Tl8 0.646 0.250 0.982
Tl9 0.649 0.750 0.811
Tl10 0.851 0.250 0.311
Tl11 0.854 0.750 0.482
Tl12 0.859 0.250 0.655
O1 0.011 0.750 0.576
O2 0.024 0.250 0.731
O3 0.241 0.750 0.457
O4 0.246 0.750 0.128
O5 0.248 0.250 0.302
O6 0.252 0.750 0.802
O7 0.254 0.250 0.628
O8 0.259 0.250 0.957
O9 0.476 0.750 0.231
O10 0.489 0.250 0.076
O11 0.511 0.750 0.924
O12 0.524 0.250 0.769
O13 0.741 0.750 0.043
O14 0.746 0.750 0.372
O15 0.748 0.250 0.198
O16 0.752 0.750 0.698
O17 0.754 0.250 0.872
O18 0.759 0.250 0.543
O19 0.976 0.750 0.269
O20 0.989 0.250 0.424

---

4.
## Y2GeI2 (PBE)

Data for crystalline Y2GeI2 at its relaxed geometry.

Cell lengths 11.016, 11.016, 11.016 Å; angles 22.32, 22.32, 22.32 degrees
Atoms (fractional coordinates):
Y1 0.118 0.118 0.118
Y2 0.882 0.882 0.882
Ge1 0.500 0.500 0.500
I1 0.278 0.278 0.278
I2 0.722 0.722 0.722

---

5.
## La3Hg (PBE)

Data for crystalline La3Hg at its relaxed geometry.

Cell lengths 7.258, 7.258, 5.609 Å; angles 90.00, 90.00, 120.00 degrees
Atoms (fractional coordinates):
La1 0.177 0.354 0.250
La2 0.177 0.823 0.250
La3 0.354 0.177 0.750
La4 0.646 0.823 0.250
La5 0.823 0.177 0.750
La6 0.823 0.646 0.750
Hg1 0.333 0.667 0.750
Hg2 0.667 0.333 0.250

energy above the most stable polymorph in this dataset = 0.00 kJ per mole of atoms

---

6.
## AlMo4S8 (PBE)

Data for crystalline AlMo4S8 at its relaxed geometry.

Cell lengths 6.908, 6.908, 6.908 Å; angles 60.69, 60.69, 60.69 degrees
Atoms (fractional coordinates):
Al1 0.000 0.000 0.000
Mo1 0.189 0.603 0.603
Mo2 0.598 0.598 0.598
Mo3 0.603 0.189 0.603
Mo4 0.603 0.603 0.189
S1 0.362 0.362 0.901
S2 0.362 0.901 0.362
S3 0.367 0.367 0.367
S4 0.403 0.862 0.862
S5 0.862 0.403 0.862
S6 0.862 0.862 0.403
S7 0.864 0.864 0.864
S8 0.901 0.362 0.362

maximum piezoelectric response = 0.1 C/m2
energy above the most stable polymorph in this dataset = 0.00 kJ per mole of atoms

---

7.
## MgB2H6 (PBE)

Data for crystalline MgB2H6 at its relaxed geometry.

Cell lengths 7.780, 7.977, 8.815 Å; angles 92.17, 93.77, 92.90 degrees
Atoms (fractional coordinates):
Mg1 0.000 0.000 0.000
Mg2 0.024 0.488 0.734
Mg3 0.530 0.804 0.879
Mg4 0.855 0.956 0.504
B1 0.236 0.852 0.913
B2 0.269 0.638 0.867
B3 0.653 0.805 0.632
B4 0.736 0.873 0.077
B5 0.845 0.694 0.638
B6 0.863 0.964 0.234
B7 0.953 0.230 0.840
B8 0.980 0.204 0.642
H1 0.061 0.078 0.619
H2 0.061 0.311 0.571
H3 0.089 0.217 0.920
H4 0.110 0.886 0.831
H5 0.168 0.551 0.935
H6 0.214 0.873 0.051
H7 0.251 0.609 0.726
H8 0.343 0.967 0.887
H9 0.409 0.575 0.901
H10 0.533 0.708 0.658
H11 0.601 0.865 0.511
H12 0.641 0.758 0.115
H13 0.649 0.984 0.020
H14 0.662 0.930 0.723
H15 0.766 0.048 0.307
H16 0.814 0.809 0.971
H17 0.822 0.557 0.569
H18 0.835 0.196 0.573
H19 0.839 0.127 0.868
H20 0.882 0.678 0.775
H21 0.895 0.362 0.891
H22 0.933 0.855 0.309
H23 0.980 0.758 0.591
H24 0.984 0.069 0.217

energy above the most stable polymorph in this dataset = 0.23 kJ per mole of atoms

---

8.
## RbNbP2O8 (PBE)

Data for crystalline RbNbP2O8 at its relaxed geometry.

Cell lengths 5.286, 12.214, 13.262 Å; angles 90.00, 112.98, 90.00 degrees
Atoms (fractional coordinates):
Rb1 0.201 0.128 0.457
Rb2 0.201 0.372 0.957
Rb3 0.799 0.628 0.043
Rb4 0.799 0.872 0.543
Nb1 0.418 0.113 0.174
Nb2 0.418 0.387 0.674
Nb3 0.582 0.613 0.326
Nb4 0.582 0.887 0.826
P1 0.094 0.699 0.837
P2 0.094 0.801 0.337
P3 0.119 0.069 0.871
P4 0.119 0.431 0.371
P5 0.881 0.569 0.629
P6 0.881 0.931 0.129
P7 0.906 0.199 0.663
P8 0.906 0.301 0.163
O1 0.065 0.178 0.795
O2 0.065 0.322 0.295
O3 0.092 0.216 0.139
O4 0.092 0.284 0.639
O5 0.136 0.597 0.902
O6 0.136 0.903 0.402
O7 0.165 0.518 0.653
O8 0.165 0.982 0.153
O9 0.266 0.111 0.985
O10 0.266 0.389 0.485
O11 0.285 0.510 0.330
O12 0.285 0.990 0.830
O13 0.365 0.744 0.348
O14 0.365 0.756 0.848
O15 0.461 0.621 0.183
O16 0.461 0.879 0.683
O17 0.539 0.121 0.317
O18 0.539 0.379 0.817
O19 0.635 0.244 0.152
O20 0.635 0.256 0.652
O21 0.715 0.010 0.170
O22 0.715 0.490 0.670
O23 0.734 0.611 0.515
O24 0.734 0.889 0.015
O25 0.835 0.018 0.847
O26 0.835 0.482 0.347
O27 0.864 0.097 0.598
O28 0.864 0.403 0.098
O29 0.908 0.716 0.361
O30 0.908 0.784 0.861
O31 0.935 0.678 0.705
O32 0.935 0.822 0.205

---

9.
## Y2HfO5 (PBE)

Data for crystalline Y2HfO5 at its relaxed geometry.

Cell lengths 5.996, 5.996, 10.910 Å; angles 90.00, 90.00, 139.80 degrees
Atoms (fractional coordinates):
Y1 0.139 0.861 0.566
Y2 0.139 0.861 0.934
Y3 0.861 0.139 0.066
Y4 0.861 0.139 0.434
Hf1 0.178 0.822 0.250
Hf2 0.822 0.178 0.750
O1 0.049 0.951 0.120
O2 0.049 0.951 0.380
O3 0.266 0.734 0.750
O4 0.292 0.708 0.089
O5 0.292 0.708 0.411
O6 0.708 0.292 0.589
O7 0.708 0.292 0.911
O8 0.734 0.266 0.250
O9 0.951 0.049 0.620
O10 0.951 0.049 0.880

energy above the most stable polymorph in this dataset = 0.00 kJ per mole of atoms

---

10.
## Na5Ca2AlP4O16 (PBE)

Data for crystalline Na5Ca2AlP4O16 at its relaxed geometry.

Cell lengths 9.008, 9.008, 10.621 Å; angles 107.76, 107.76, 103.00 degrees
Atoms (fractional coordinates):
Na1 0.006 0.994 0.500
Na2 0.046 0.304 0.813
Na3 0.304 0.046 0.313
Na4 0.469 0.497 0.988
Na5 0.497 0.469 0.488
Na6 0.541 0.799 0.357
Na7 0.612 0.968 0.146
Na8 0.799 0.541 0.857
Na9 0.968 0.612 0.646
Na10 0.994 0.006 0.000
Ca1 0.056 0.276 0.341
Ca2 0.276 0.056 0.841
Ca3 0.525 0.739 0.799
Ca4 0.739 0.525 0.299
Al1 0.133 0.651 0.204
Al2 0.651 0.133 0.704
P1 0.197 0.693 0.502
P2 0.228 0.740 0.975
P3 0.279 0.368 0.161
P4 0.368 0.279 0.661
P5 0.693 0.197 0.002
P6 0.740 0.228 0.475
P7 0.793 0.854 0.655
P8 0.854 0.793 0.155
O1 0.025 0.548 0.412
O2 0.071 0.585 0.871
O3 0.144 0.453 0.166
O4 0.184 0.825 0.626
O5 0.206 0.900 0.964
O6 0.235 0.238 0.720
O7 0.235 0.771 0.394
O8 0.238 0.235 0.220
O9 0.257 0.292 0.003
O10 0.259 0.763 0.139
O11 0.292 0.257 0.503
O12 0.332 0.623 0.557
O13 0.386 0.719 0.956
O14 0.453 0.144 0.666
O15 0.455 0.502 0.258
O16 0.502 0.455 0.758
O17 0.548 0.025 0.912
O18 0.585 0.071 0.371
O19 0.623 0.332 0.057
O20 0.645 0.927 0.632
O21 0.719 0.386 0.456
O22 0.724 0.749 0.217
O23 0.749 0.724 0.717
O24 0.763 0.259 0.639
O25 0.769 0.792 0.004
O26 0.771 0.235 0.894
O27 0.792 0.769 0.504
O28 0.825 0.184 0.126
O29 0.900 0.206 0.464
O30 0.927 0.645 0.132
O31 0.958 0.999 0.757
O32 0.999 0.958 0.257

---

11.
## LaY3 (PBE)

Data for crystalline LaY3 at its relaxed geometry.

Cell lengths 6.287, 6.287, 6.287 Å; angles 131.53, 131.53, 70.97 degrees
Atoms (fractional coordinates):
La1 0.000 0.000 0.000
Y1 0.250 0.750 0.500
Y2 0.500 0.500 0.000
Y3 0.750 0.250 0.500

---

12.
## LiSnAu (PBE)

Data for crystalline LiSnAu at its relaxed geometry.

Cell lengths 4.754, 4.754, 6.135 Å; angles 90.00, 90.00, 120.00 degrees
Atoms (fractional coordinates):
Li1 0.000 0.000 0.000
Li2 0.000 0.000 0.500
Sn1 0.333 0.667 0.250
Sn2 0.667 0.333 0.750
Au1 0.333 0.667 0.750
Au2 0.667 0.333 0.250

---

Density (computed, g cm⁻³): 3.46; 4.28; 8.42; 4.95; 8.01; 4.68; 0.63; 3.10; 5.72; 2.73; 4.94; 8.92
Formation enthalpy at 0 K (computed, eV per atom): -1.598; -3.638; -1.202; -1.388; -0.189; -1.141; -0.299; -2.825; -3.988; -2.927; 0.038; -0.424